(1)
DFT (PBE+U) results for a relaxed structure of VNiP2O8.

Lattice parameters (Å, degrees): 4.8042 9.9235 5.8273 90.00 90.00 90.98
Element x y z (fractional)
V 0.5498 0.7782 0.2500
V 0.4502 0.2218 0.7500
Ni 0.0505 0.7260 0.7500
Ni 0.9495 0.2740 0.2500
P 0.4219 0.0899 0.2500
P 0.5781 0.9102 0.7500
P 0.8900 0.4032 0.7500
P 0.1100 0.5968 0.2500
O 0.6769 0.0589 0.7500
O 0.3232 0.9412 0.2500
O 0.7341 0.1032 0.2500
O 0.2659 0.8969 0.7500
O 0.2043 0.3723 0.7500
O 0.7957 0.6276 0.2500
O 0.1579 0.4476 0.2500
O 0.8421 0.5523 0.7500
O 0.2812 0.1662 0.0396
O 0.2812 0.1662 0.4604
O 0.7188 0.8338 0.5396
O 0.7188 0.8338 0.9604
O 0.7338 0.3255 0.9515
O 0.7338 0.3255 0.5485
O 0.2661 0.6744 0.0485
O 0.2661 0.6744 0.4515

Calculated values
- energy relative to the elements (eV/atom) = -2.39
- offset from the most stable computed form (meV/atom) = 0

=====

(2)
DFT (PBE+U) results for a relaxed structure of BaMnF5.

Lattice parameters (Å, degrees): 5.0258 5.9083 14.3626 90.00 90.00 90.00
Element x y z (fractional)
Ba 0.7451 0.6356 0.6608
Ba 0.2451 0.8644 0.3392
Ba 0.2549 0.1356 0.8392
Ba 0.7549 0.3644 0.1608
Mn 0.3389 0.1185 0.5850
Mn 0.8389 0.3815 0.4150
Mn 0.6611 0.6185 0.9150
Mn 0.1611 0.8815 0.0850
F 0.9942 0.6151 0.4844
F 0.4942 0.8849 0.5156
F 0.0058 0.1151 0.0156
F 0.5058 0.3849 0.9844
F 0.6810 0.6174 0.3223
F 0.1810 0.8826 0.6777
F 0.3190 0.1174 0.1777
F 0.8190 0.3826 0.8223
F 0.2011 0.3607 0.6572
F 0.7011 0.1393 0.3428
F 0.7989 0.8607 0.8428
F 0.2989 0.6393 0.1572
F 0.6310 0.1188 0.6682
F 0.1310 0.3812 0.3318
F 0.3690 0.6188 0.8318
F 0.8690 0.8812 0.1682
F 0.5595 0.3715 0.5046
F 0.0595 0.1285 0.4954
F 0.4405 0.8715 0.9954
F 0.9405 0.6285 0.0046

Calculated values
- energy relative to the elements (eV/atom) = -3.41

=====

(3)
DFT (PBE+U) results for a relaxed structure of Li2CrO4.

Lattice parameters (Å, degrees): 9.7951 7.7450 9.7689 86.89 90.00 90.00
Element x y z (fractional)
Li 0.6172 0.4722 0.5982
Li 0.3828 0.4722 0.0982
Li 0.5943 0.5386 0.8494
Li 0.4057 0.5386 0.3494
Li 0.1095 0.4990 0.0844
Li 0.8905 0.4990 0.5844
Li 0.6210 0.1996 0.0649
Li 0.3790 0.1996 0.5649
Li 0.8720 0.1506 0.4111
Li 0.1280 0.1506 0.9111
Li 0.1043 0.1223 0.6389
Li 0.8957 0.1223 0.1389
Li 0.5952 0.9030 0.6499
Li 0.4048 0.9030 0.1499
Li 0.1583 0.9146 0.4236
Li 0.8417 0.9146 0.9236
Cr 0.1206 0.8439 0.1314
Cr 0.8794 0.8439 0.6314
Cr 0.6352 0.6253 0.1290
Cr 0.3648 0.6253 0.6290
Cr 0.1261 0.3297 0.3666
Cr 0.8739 0.3297 0.8666
Cr 0.6147 0.1912 0.3814
Cr 0.3853 0.1912 0.8814
O 0.9746 0.9853 0.5281
O 0.0254 0.9853 0.0281
O 0.2280 0.9513 0.2292
O 0.7720 0.9513 0.7292
O 0.2124 0.7117 0.0400
O 0.7876 0.7117 0.5400
O 0.0184 0.7309 0.2311
O 0.9816 0.7309 0.7311
O 0.4875 0.6882 0.2060
O 0.5125 0.6882 0.7060
O 0.6985 0.7794 0.0242
O 0.3015 0.7794 0.5242
O 0.7464 0.5586 0.2401
O 0.2536 0.5586 0.7401
O 0.4179 0.4564 0.5355
O 0.5821 0.4564 0.0355
O 0.9513 0.4539 0.9728
O 0.0487 0.4539 0.4728
O 0.2314 0.4441 0.2612
O 0.7686 0.4441 0.7612
O 0.2081 0.1768 0.4648
O 0.7919 0.1768 0.9648
O 0.0064 0.2357 0.2744
O 0.9936 0.2357 0.7744
O 0.4993 0.3034 0.2924
O 0.5007 0.3034 0.7924
O 0.7177 0.3120 0.4748
O 0.2823 0.3120 0.9748
O 0.7182 0.0933 0.2720
O 0.2818 0.0933 0.7720
O 0.4656 0.0546 0.9932
O 0.5344 0.0546 0.4932

Calculated values
- energy relative to the elements (eV/atom) = -1.99
- offset from the most stable computed form (meV/atom) = 98

=====

(4)
DFT (PBE+U) results for a relaxed structure of Gd2NiPtO6.

Lattice parameters (Å, degrees): 5.7718 5.3966 9.4421 55.31 90.00 90.00
Element x y z (fractional)
Gd 0.0723 0.7253 0.7521
Gd 0.9277 0.2747 0.2479
Gd 0.5723 0.2747 0.7479
Gd 0.4277 0.7253 0.2521
Ni 0.5000 0.5000 0.0000
Ni 0.0000 0.5000 0.5000
Pt 0.5000 0.0000 0.5000
Pt 0.0000 0.0000 0.0000
O 0.4556 0.8699 0.7488
O 0.5444 0.1301 0.2512
O 0.9556 0.1301 0.7512
O 0.0444 0.8699 0.2488
O 0.8003 0.7509 0.5620
O 0.1997 0.2491 0.4380
O 0.3003 0.2491 0.9380
O 0.6997 0.7509 0.0620
O 0.3067 0.6345 0.5560
O 0.6933 0.3655 0.4440
O 0.8067 0.3655 0.9440
O 0.1933 0.6345 0.0560

Calculated values
- energy relative to the elements (eV/atom) = -2.51

=====

(5)
DFT (PBE+U) results for a relaxed structure of Eu2MgWO6.

Lattice parameters (Å, degrees): 5.6617 5.6617 5.6617 60.00 60.00 60.00
Element x y z (fractional)
Eu 0.2500 0.2500 0.2500
Eu 0.7500 0.7500 0.7500
Mg 0.5000 0.5000 0.5000
W 0.0000 0.0000 0.0000
O 0.7556 0.2444 0.2444
O 0.2444 0.7556 0.7556
O 0.2444 0.7556 0.2444
O 0.7556 0.2444 0.7556
O 0.2444 0.2444 0.7556
O 0.7556 0.7556 0.2444

Calculated values
- energy relative to the elements (eV/atom) = -2.94

=====

(6)
DFT (PBE+U) results for a relaxed structure of CrSbP2O8.

Lattice parameters (Å, degrees): 10.8906 5.8928 4.9499 90.00 95.57 89.99
Element x y z (fractional)
Cr 0.2018 0.7496 0.4278
Cr 0.7982 0.2502 0.5722
Sb 0.2663 0.2499 0.9551
Sb 0.7338 0.7502 0.0449
P 0.0724 0.2499 0.3814
P 0.3777 0.7500 0.8805
P 0.6223 0.2500 0.1196
P 0.9276 0.7501 0.6186
O 0.0680 0.7500 0.6721
O 0.1088 0.2500 0.6916
O 0.1316 0.0404 0.2447
O 0.1315 0.4594 0.2446
O 0.3115 0.9528 0.7010
O 0.3115 0.5471 0.7011
O 0.3314 0.7499 0.1630
O 0.4851 0.2500 0.1222
O 0.5149 0.7500 0.8779
O 0.6686 0.2500 0.8370
O 0.6885 0.0472 0.2990
O 0.6885 0.4528 0.2990
O 0.8685 0.5405 0.7554
O 0.8685 0.9597 0.7553
O 0.8912 0.7500 0.3084
O 0.9320 0.2500 0.3278

Calculated values
- energy relative to the elements (eV/atom) = -2.41
- offset from the most stable computed form (meV/atom) = 0

=====

(7)
DFT (PBE+U) results for a relaxed structure of CaV4O8.

Lattice parameters (Å, degrees): 6.6050 6.6050 6.6050 53.31 53.31 53.31
Element x y z (fractional)
Ca 0.5000 0.5000 0.5000
V 0.0000 0.5000 0.5000
V 0.5000 0.0000 0.5000
V 0.5000 0.5000 0.0000
V 0.0000 0.0000 0.0000
O 0.2779 0.7661 0.7661
O 0.2339 0.2339 0.7221
O 0.7221 0.2339 0.2339
O 0.2339 0.7221 0.2339
O 0.2738 0.2738 0.2738
O 0.7262 0.7262 0.7262
O 0.7661 0.2779 0.7661
O 0.7661 0.7661 0.2779

Calculated values
- energy relative to the elements (eV/atom) = -2.60
- offset from the most stable computed form (meV/atom) = 8

=====

(8)
DFT (PBE+U) results for a relaxed structure of Ba5V5O14.

Lattice parameters (Å, degrees): 5.7851 5.7993 23.8149 89.05 89.50 60.57
Element x y z (fractional)
Ba 0.6666 0.6667 0.7941
Ba 0.6611 0.6752 0.6121
Ba 0.6683 0.6733 0.2953
Ba 0.6726 0.6675 0.1119
Ba 0.0007 0.9947 0.9999
Ba 0.9980 0.0017 0.4991
Ba 0.3288 0.3374 0.8903
Ba 0.3338 0.3356 0.3912
Ba 0.3368 0.3333 0.2078
Ba 0.3294 0.3416 0.7077
V 0.6327 0.6889 0.9461
V 0.6849 0.6301 0.4468
V 0.9911 0.0043 0.8599
V 0.0154 0.9842 0.1405
V 0.9985 0.0063 0.7488
V 0.9912 0.0235 0.6392
V 0.0005 0.0008 0.3595
V 0.0002 0.0055 0.2490
V 0.3087 0.3821 0.5546
V 0.3713 0.3173 0.0544
O 0.5304 0.9554 0.0041
O 0.3103 0.8475 0.8993
O 0.3413 0.8363 0.4069
O 0.2938 0.8607 0.6958
O 0.3108 0.8500 0.1958
O 0.8342 0.8744 0.7003
O 0.8626 0.8334 0.2005
O 0.8393 0.8197 0.9068
O 0.8257 0.8352 0.4057
O 0.8545 0.2933 0.1981
O 0.8436 0.3227 0.6974
O 0.8504 0.3096 0.4002
O 0.8317 0.3360 0.9070
O 0.0166 0.4832 0.4990
O 0.1659 0.6581 0.5985
O 0.1774 0.6575 0.0942
O 0.1445 0.7048 0.8023
O 0.1506 0.7075 0.3061
O 0.1872 0.1508 0.5898
O 0.1504 0.2038 0.0859
O 0.1408 0.1573 0.8003
O 0.1591 0.1449 0.3015
O 0.4513 0.4828 0.9961
O 0.5046 0.4801 0.4992
O 0.6993 0.1485 0.8076
O 0.7012 0.1511 0.3031
O 0.6593 0.1568 0.5920
O 0.6718 0.1660 0.0987

Calculated values
- energy relative to the elements (eV/atom) = -2.81
- offset from the most stable computed form (meV/atom) = 50

=====

(9)
DFT (PBE+U) results for a relaxed structure of LiMnCr2O6.

Lattice parameters (Å, degrees): 6.6105 6.6105 5.9826 76.91 76.91 25.64
Element x y z (fractional)
Li 0.3340 0.3340 0.8355
Mn 0.6630 0.6630 0.6548
Cr 0.3325 0.3325 0.3316
Cr 0.0077 0.0077 0.0134
O 0.1724 0.1724 0.4413
O 0.8501 0.8501 0.0923
O 0.1627 0.1627 0.8749
O 0.8172 0.8172 0.5701
O 0.4930 0.4930 0.2220
O 0.5090 0.5090 0.7878

Calculated values
- energy relative to the elements (eV/atom) = -2.08

=====

(10)
DFT (PBE+U) results for a relaxed structure of SrFeF5.

Lattice parameters (Å, degrees): 7.4102 7.1584 14.9316 84.60 90.00 90.00
Element x y z (fractional)
Sr 0.1579 0.9991 0.6375
Sr 0.6579 0.0009 0.8625
Sr 0.8421 0.0009 0.3625
Sr 0.3421 0.9991 0.1375
Sr 0.6543 0.3141 0.5871
Sr 0.1543 0.6859 0.9129
Sr 0.3457 0.6859 0.4129
Sr 0.8457 0.3141 0.0871
Fe 0.1842 0.1886 0.8753
Fe 0.6842 0.8114 0.6247
Fe 0.8158 0.8114 0.1247
Fe 0.3158 0.1886 0.3753
Fe 0.1166 0.4930 0.6613
Fe 0.6166 0.5070 0.8387
Fe 0.8834 0.5070 0.3387
Fe 0.3834 0.4930 0.1613
F 0.3219 0.0432 0.9672
F 0.8219 0.9568 0.5328
F 0.6781 0.9568 0.0328
F 0.1781 0.0432 0.4672
F 0.0755 0.3464 0.9588
F 0.5755 0.6536 0.5412
F 0.9245 0.6536 0.0412
F 0.4245 0.3464 0.4588
F 0.3637 0.3946 0.8561
F 0.8637 0.6054 0.6439
F 0.6363 0.6054 0.1439
F 0.1363 0.3946 0.3561
F 0.3096 0.0330 0.7938
F 0.8096 0.9670 0.7062
F 0.6904 0.9670 0.2062
F 0.1904 0.0330 0.2938
F 0.5046 0.2996 0.0986
F 0.0046 0.7004 0.4014
F 0.4954 0.7004 0.9014
F 0.9954 0.2996 0.5986
F 0.3060 0.6808 0.0676
F 0.8060 0.3192 0.4324
F 0.6940 0.3192 0.9324
F 0.1940 0.6808 0.5676
F 0.3406 0.6874 0.2417
F 0.8406 0.3126 0.2583
F 0.6594 0.3126 0.7583
F 0.1594 0.6874 0.7417
F 0.4456 0.3198 0.2721
F 0.9456 0.6802 0.2279
F 0.5544 0.6802 0.7279
F 0.0544 0.3198 0.7721
F 0.1708 0.3458 0.1490
F 0.6708 0.6542 0.3510
F 0.8292 0.6542 0.8510
F 0.3292 0.3458 0.6490
F 0.5077 0.0015 0.3900
F 0.0077 0.9985 0.1100
F 0.4923 0.9985 0.6100
F 0.9923 0.0015 0.8900

Calculated values
- energy relative to the elements (eV/atom) = -3.33

=====

(11)
DFT (PBE+U) results for a relaxed structure of NiAs2O7.

Lattice parameters (Å, degrees): 9.0557 6.9061 9.8794 78.11 90.00 90.00
Element x y z (fractional)
Ni 0.9382 0.2180 0.6835
Ni 0.4382 0.7820 0.8165
Ni 0.0618 0.7820 0.3165
Ni 0.5618 0.2180 0.1835
As 0.7548 0.5969 0.7479
As 0.2548 0.4031 0.7521
As 0.2452 0.4031 0.2521
As 0.7452 0.5969 0.2479
As 0.7044 0.9533 0.9760
As 0.2044 0.0467 0.5240
As 0.2956 0.0467 0.0240
As 0.7956 0.9533 0.4760
O 0.6898 0.1579 0.0489
O 0.1898 0.8421 0.4511
O 0.3102 0.8421 0.9511
O 0.8102 0.1579 0.5489
O 0.5655 0.6307 0.7350
O 0.0655 0.3693 0.7650
O 0.4345 0.3693 0.2650
O 0.9345 0.6307 0.2350
O 0.8388 0.6419 0.8939
O 0.3388 0.3581 0.6061
O 0.1612 0.3581 0.1061
O 0.6612 0.6419 0.3939
O 0.8487 0.7422 0.6024
O 0.3487 0.2578 0.8976
O 0.1513 0.2578 0.3976
O 0.6513 0.7422 0.1024
O 0.9187 0.9608 0.3421
O 0.4187 0.0392 0.1579
O 0.0813 0.0392 0.6579
O 0.5813 0.9608 0.8421
O 0.7260 0.3557 0.2341
O 0.2260 0.6443 0.2659
O 0.2740 0.6443 0.7659
O 0.7740 0.3557 0.7341
O 0.6208 0.9523 0.4096
O 0.1208 0.0477 0.0904
O 0.3792 0.0477 0.5904
O 0.8792 0.9523 0.9096

Calculated values
- energy relative to the elements (eV/atom) = -1.12

=====

(12)
DFT (PBE+U) results for a relaxed structure of Li3Co2Ni2O8.

Lattice parameters (Å, degrees): 5.7696 5.7999 5.6793 59.97 60.78 90.48
Element x y z (fractional)
Li 0.0000 0.5000 0.0000
Li 0.5000 0.5000 0.5000
Li 0.5000 0.0000 0.5000
Co 0.0000 0.0000 0.0000
Co 0.0000 0.0000 0.5000
Ni 0.0000 0.5000 0.5000
Ni 0.5000 0.0000 0.0000
O 0.2314 0.7762 0.0152
O 0.2166 0.2202 0.0237
O 0.2425 0.7748 0.4800
O 0.2121 0.2239 0.5349
O 0.7879 0.7761 0.4651
O 0.7575 0.2252 0.5200
O 0.7834 0.7798 0.9763
O 0.7686 0.2238 0.9848

Calculated values
- energy relative to the elements (eV/atom) = -1.50
- offset from the most stable computed form (meV/atom) = 0